A plane-wave DFT calculation with PBE with a Hubbard U was carried out for Li2FeF6 after structural relaxation.

Values from the calculation:
density	3.02	g/cm³
MP2020-corrected energy	-5.268	eV/atom
energy above the most stable polymorph in this dataset	0.0058	eV per atom
total magnetic moment	0.44	μB per atom

```
Li2FeF6
1.0
4.366 7.396 0.000
-4.366 7.396 0.000
0.000 0.050 4.693
F Fe Li
18 3 6
Direct
0.786 0.101 0.777 F
0.092 0.111 0.779 F
0.882 0.576 0.264 F
0.206 0.896 0.224 F
0.538 0.228 0.289 F
0.131 0.445 0.735 F
0.104 0.794 0.776 F
0.772 0.462 0.711 F
0.899 0.214 0.223 F
0.451 0.421 0.736 F
0.768 0.775 0.708 F
0.236 0.546 0.285 F
0.579 0.549 0.264 F
0.555 0.869 0.265 F
0.225 0.232 0.292 F
0.424 0.118 0.736 F
0.889 0.908 0.221 F
0.454 0.764 0.715 F
0.334 0.333 0.512 Fe
0.667 0.666 0.488 Fe
0.998 0.002 0.000 Fe
0.006 0.691 0.488 Li
0.635 0.995 0.972 Li
0.005 0.365 0.028 Li
0.358 0.642 0.000 Li
0.698 0.302 0.500 Li
0.309 0.994 0.512 Li
```